Material: Li4Co3O7
Method: DFT, PBE with a Hubbard U
State: relaxed

Computed properties:
- uncorrected energy (eV/atom) = -5.47
- ΔE_f (meV per atom) = -1626
- volume (Å³ per atom) = 8.971
- energy with MP2020 corrections (eV per atom) = -6.168
- spin magnetization (μB per cell) = 1.8
- ΔE to the lowest computed polymorph (meV/atom) = 85.2

The structure in extended XYZ format:
```
28
Lattice="16.020 -3.992 2.255 16.286 -3.458 -0.688 1.088 4.824 0.973" Properties=species:S:1:pos:R:3 pbc="T T T"
O 26.661 -5.708 1.372
O 25.060 -1.873 1.924
Co 23.139 -4.978 1.187
O 22.337 -3.248 1.428
Li 3.241 3.582 0.942
O 1.444 0.619 0.243
Li 25.848 -3.787 1.648
Co 28.565 -2.630 2.103
Li 11.855 -1.279 0.839
O 13.743 1.555 1.523
Li 21.539 -1.347 1.701
Co 4.829 0.004 0.437
O 11.057 0.622 1.111
Co 14.647 -0.113 1.302
Li 16.153 -3.725 0.783
O 19.650 -4.182 1.016
Li 0.544 2.412 0.487
Co 18.746 -2.514 1.237
O 6.733 3.082 1.167
O 29.370 -4.322 1.869
O 8.333 -0.753 0.616
O 15.255 -1.715 1.067
Li 7.545 1.160 0.892
O 31.950 -3.245 2.297
Li 30.153 -6.208 1.597
O 18.139 -0.911 1.473
Co 10.254 2.351 1.353
O 4.024 1.696 0.671
```